# 1
CsMn2V2ClO7, optimized geometry, DFT PBE+U; electronic total energy = -7.05 eV/atom; calculated volume = 464.5 Å³ per cell; total moment = 0.0 μB/cell; space-group type = Pma2, No. 28
1.0
5.410 0.000 0.000
0.000 5.652 0.000
0.000 0.000 15.193
O V Cs Mn Cl
14 4 2 4 2
Cartesian
3.831 2.836 9.307
1.246 1.836 14.149
1.900 3.247 3.798
1.246 3.816 6.552
3.831 2.815 5.886
1.608 1.131 5.779
1.246 1.836 8.641
3.831 2.836 13.483
1.608 4.521 9.414
1.608 1.131 1.817
1.608 4.521 13.376
3.831 2.815 1.710
1.900 2.405 11.395
1.246 3.816 1.044
2.164 2.922 9.667
2.164 2.729 5.526
2.164 2.922 13.123
2.164 2.729 2.070
4.845 0.205 11.395
4.845 5.447 3.798
1.664 0.000 0.000
5.014 2.826 7.597
5.014 2.826 0.000
1.664 0.000 7.597
4.262 0.000 0.000
4.262 0.000 7.597

# 2
CsMoSCl2O2, optimized geometry, DFT PBE+U; electronic total energy = -4.77 eV/atom; calculated volume = 1722.6 Å³ per cell; total moment = 0.0 μB/cell; space-group type = P2_1/c, No. 14
1.0
21.158 0.000 0.000
0.000 7.622 0.000
0.000 0.887 10.681
Cs S Mo Cl O
8 8 8 16 16
Cartesian
9.095 2.414 10.533
19.674 6.538 5.489
6.320 4.749 2.344
14.838 3.760 8.337
4.259 5.192 7.685
12.063 6.095 0.148
1.484 1.971 5.192
16.899 3.317 2.997
3.197 1.437 1.747
7.382 1.881 7.087
19.461 2.229 10.509
12.276 1.785 5.169
17.961 7.072 8.934
8.882 6.724 5.512
1.697 6.280 0.172
13.776 6.629 3.594
8.887 6.322 7.802
19.466 2.630 8.220
12.271 2.187 2.880
14.315 8.024 5.522
6.843 0.485 5.159
17.422 7.581 0.181
3.736 0.929 10.500
1.692 5.879 2.461
10.528 4.676 7.728
19.470 3.194 5.445
5.165 2.272 4.832
13.739 7.826 7.832
0.051 4.233 2.387
7.419 0.683 2.849
15.993 6.237 5.849
5.414 2.716 10.173
10.630 3.833 2.954
21.107 4.276 8.294
3.160 1.127 8.190
17.998 7.383 2.491
8.891 5.759 10.576
15.744 5.793 0.508
12.267 2.751 0.105
1.688 5.315 5.236
13.946 2.535 2.609
15.428 1.701 5.290
4.849 6.365 0.051
7.212 5.974 8.072
5.730 6.808 5.391
2.386 1.739 0.427
1.217 7.431 3.109
17.792 2.978 7.949
9.363 7.875 8.449
16.309 2.144 10.630
8.193 2.183 5.767
12.965 6.326 4.914
3.367 5.531 2.732
18.772 6.770 10.254
11.796 0.634 2.232
19.942 1.078 7.573